VASP calculation (PBE-GGA) on an optimized crystal structure of NbMoS3.

a b c (Å): 6.2691 3.2821 8.8001
angles (deg): 90.00 104.18 90.00
With the nearest neighbours (Å) after each atom.
Space group P2_1/m (No. 11)
Symmetry-distinct sites (fractional):
Nb: 0.1910 0.2500 0.4936 [2 per cell]  5 S 2.45-2.59
Mo: 0.3870 0.2500 0.8764 [2 per cell]  4 S 2.35-2.57
S: 0.0069 0.7500 0.2977 [2 per cell]  3 Nb 2.45-2.46, 1 Mo 2.57
S: 0.2316 0.7500 0.0141 [2 per cell]  3 Mo 2.35-2.39
S: 0.4707 0.7500 0.6641 [2 per cell]  3 Nb 2.59-2.80, 2 Mo 2.63

Energy relative to the elements: -1183 meV/atom
MP2020-corrected energy: -7.855 eV per atom
Volume: 17.6 Å³ per atom
Size of the total moment: 0.00 μB per formula unit